Below is crystalline LiMg2 at its relaxed geometry, with properties calculated at the r2SCAN level.

Results
E_form (eV per atom): -0.05
E_tot (eV for the cell shown): -21.76
M_tot (μB/cell): 0.00

a = 5.858 Å, b = 5.858 Å, c = 6.990 Å
α = 107.29°, β = 107.29°, γ = 32.85°
Atoms (fractional coordinates):
1 Li 0.002 0.002 0.251
2 Li 0.998 0.998 0.749
3 Mg 0.341 0.341 0.420
4 Mg 0.341 0.341 0.922
5 Mg 0.659 0.659 0.078
6 Mg 0.659 0.659 0.580

***

Below is crystalline CaGa at its relaxed geometry, with properties calculated at the r2SCAN level.

Results
E_form (eV per atom): -0.53
E_tot (eV for the cell shown): -39.08
M_tot (μB/cell): 0.00

a = 6.052 Å, b = 6.052 Å, c = 4.328 Å
α = 90.00°, β = 90.00°, γ = 138.89°
Atoms (fractional coordinates):
1 Ca 0.144 0.856 0.750
2 Ca 0.856 0.144 0.250
3 Ga 0.435 0.565 0.750
4 Ga 0.565 0.435 0.250

***

Below is crystalline Ba3LiTi3O8 at its relaxed geometry, with properties calculated at the r2SCAN level.

Results
E_form (eV per atom): -2.89
E_tot (eV for the cell shown): -211.80
M_tot (μB/cell): 2.48

a = 5.721 Å, b = 5.777 Å, c = 7.090 Å
α = 87.96°, β = 88.80°, γ = 61.17°
Atoms (fractional coordinates):
1 Ba 0.000 0.000 0.000
2 Ba 0.297 0.390 0.697
3 Ba 0.703 0.609 0.303
4 Li 0.501 0.999 0.500
5 Ti 0.000 0.000 0.500
6 Ti 0.361 0.316 0.182
7 Ti 0.639 0.684 0.818
8 O 0.173 0.650 0.329
9 O 0.184 0.154 0.336
10 O 0.330 0.850 0.662
11 O 0.500 0.000 0.000
12 O 0.500 0.500 0.000
13 O 0.670 0.150 0.339
14 O 0.817 0.846 0.664
15 O 0.827 0.351 0.671

***

Below is crystalline LiInSe2 at its relaxed geometry, with properties calculated at the r2SCAN level.

Results
E_form (eV per atom): -1.06
E_tot (eV for the cell shown): -231.25
M_tot (μB/cell): 0.00

a = 7.246 Å, b = 8.485 Å, c = 6.863 Å
α = 90.00°, β = 90.00°, γ = 90.00°
Atoms (fractional coordinates):
1 Li 0.088 0.123 0.000
2 Li 0.412 0.623 0.500
3 Li 0.588 0.377 0.000
4 Li 0.912 0.877 0.500
5 In 0.082 0.625 0.999
6 In 0.418 0.125 0.499
7 In 0.582 0.875 0.999
8 In 0.918 0.375 0.499
9 Se 0.079 0.630 0.620
10 Se 0.081 0.122 0.627
11 Se 0.419 0.622 0.127
12 Se 0.421 0.130 0.120
13 Se 0.579 0.870 0.620
14 Se 0.581 0.378 0.627
15 Se 0.919 0.878 0.127
16 Se 0.921 0.370 0.120

***

Below is crystalline CdAs2O6 at its relaxed geometry, with properties calculated at the r2SCAN level.

Results
E_form (eV per atom): -1.43
E_tot (eV for the cell shown): -98.19
M_tot (μB/cell): 0.00

a = 4.853 Å, b = 4.853 Å, c = 4.895 Å
α = 90.00°, β = 90.00°, γ = 120.00°
Atoms (fractional coordinates):
1 Cd 0.000 0.000 0.000
2 As 0.333 0.667 0.500
3 As 0.667 0.333 0.500
4 O 0.000 0.376 0.709
5 O 0.000 0.624 0.291
6 O 0.376 0.000 0.709
7 O 0.376 0.376 0.291
8 O 0.624 0.000 0.291
9 O 0.624 0.624 0.709

***

Below is crystalline Dy2Sb5 at its relaxed geometry, with properties calculated at the r2SCAN level.

Results
E_form (eV per atom): -0.75
E_tot (eV for the cell shown): -790.98
M_tot (μB/cell): 0.00

a = 13.187 Å, b = 4.213 Å, c = 14.779 Å
α = 90.00°, β = 102.45°, γ = 90.00°
Atoms (fractional coordinates):
1 Dy 0.048 0.250 0.364
2 Dy 0.330 0.250 0.578
3 Dy 0.337 0.250 0.855
4 Dy 0.394 0.750 0.229
5 Dy 0.606 0.250 0.771
6 Dy 0.663 0.750 0.145
7 Dy 0.670 0.750 0.422
8 Dy 0.952 0.750 0.636
9 Sb 0.030 0.250 0.103
10 Sb 0.138 0.250 0.677
11 Sb 0.141 0.750 0.222
12 Sb 0.143 0.750 0.519
13 Sb 0.152 0.750 0.824
14 Sb 0.282 0.250 0.060
15 Sb 0.288 0.250 0.350
16 Sb 0.420 0.750 0.025
17 Sb 0.424 0.750 0.447
18 Sb 0.424 0.750 0.735
19 Sb 0.576 0.250 0.265
20 Sb 0.576 0.250 0.553
21 Sb 0.580 0.250 0.975
22 Sb 0.712 0.750 0.650
23 Sb 0.718 0.750 0.940
24 Sb 0.848 0.250 0.176
25 Sb 0.857 0.250 0.481
26 Sb 0.859 0.250 0.778
27 Sb 0.862 0.750 0.323
28 Sb 0.970 0.750 0.897

***

Below is crystalline Ac3Sm at its relaxed geometry, with properties calculated at the r2SCAN level.

Results
E_form (eV per atom): 0.04
E_tot (eV for the cell shown): -470.98
M_tot (μB/cell): 0.00

a = 7.963 Å, b = 7.963 Å, c = 6.275 Å
α = 90.00°, β = 90.00°, γ = 120.00°
Atoms (fractional coordinates):
1 Ac 0.170 0.340 0.250
2 Ac 0.170 0.830 0.250
3 Ac 0.340 0.170 0.750
4 Ac 0.660 0.830 0.250
5 Ac 0.830 0.170 0.750
6 Ac 0.830 0.660 0.750
7 Sm 0.333 0.667 0.750
8 Sm 0.667 0.333 0.250

***

Below is crystalline TmSbRh at its relaxed geometry, with properties calculated at the r2SCAN level.

Results
E_form (eV per atom): -1.09
E_tot (eV for the cell shown): -352.92
M_tot (μB/cell): 0.00

a = 7.052 Å, b = 4.520 Å, c = 7.739 Å
α = 90.00°, β = 90.00°, γ = 90.00°
Atoms (fractional coordinates):
1 Tm 0.009 0.250 0.202
2 Tm 0.491 0.750 0.702
3 Tm 0.509 0.250 0.298
4 Tm 0.991 0.750 0.798
5 Sb 0.196 0.250 0.592
6 Sb 0.304 0.750 0.092
7 Sb 0.696 0.250 0.908
8 Sb 0.804 0.750 0.408
9 Rh 0.196 0.750 0.420
10 Rh 0.304 0.250 0.920
11 Rh 0.696 0.750 0.080
12 Rh 0.804 0.250 0.580

***

Below is crystalline LaZn2Ni3 at its relaxed geometry, with properties calculated at the r2SCAN level.

Results
E_form (eV per atom): -0.33
E_tot (eV for the cell shown): -85.48
M_tot (μB/cell): 0.00

a = 5.232 Å, b = 5.232 Å, c = 3.857 Å
α = 90.00°, β = 90.00°, γ = 120.00°
Atoms (fractional coordinates):
1 La 0.000 0.000 0.000
2 Zn 0.333 0.667 0.000
3 Zn 0.667 0.333 0.000
4 Ni 0.000 0.500 0.500
5 Ni 0.500 0.000 0.500
6 Ni 0.500 0.500 0.500

***

Below is crystalline NbVO5 at its relaxed geometry, with properties calculated at the r2SCAN level.

Results
E_form (eV per atom): -2.62
E_tot (eV for the cell shown): -348.03
M_tot (μB/cell): 0.00

a = 11.991 Å, b = 5.599 Å, c = 7.037 Å
α = 90.00°, β = 90.00°, γ = 90.00°
Atoms (fractional coordinates):
1 Nb 0.059 0.250 0.157
2 Nb 0.441 0.750 0.657
3 Nb 0.559 0.250 0.343
4 Nb 0.941 0.750 0.843
5 V 0.154 0.750 0.471
6 V 0.346 0.250 0.971
7 V 0.654 0.750 0.029
8 V 0.846 0.250 0.529
9 O 0.000 0.000 0.000
10 O 0.000 0.500 0.000
11 O 0.077 0.750 0.677
12 O 0.124 0.501 0.343
13 O 0.124 0.999 0.343
14 O 0.205 0.250 0.028
15 O 0.295 0.750 0.528
16 O 0.376 0.001 0.843
17 O 0.376 0.499 0.843
18 O 0.423 0.250 0.177
19 O 0.500 0.000 0.500
20 O 0.500 0.500 0.500
21 O 0.577 0.750 0.823
22 O 0.624 0.501 0.157
23 O 0.624 0.999 0.157
24 O 0.705 0.250 0.472
25 O 0.795 0.750 0.972
26 O 0.876 0.001 0.657
27 O 0.876 0.499 0.657
28 O 0.923 0.250 0.323

***

Below is crystalline PuAs at its relaxed geometry, with properties calculated at the r2SCAN level.

Results
E_form (eV per atom): -1.46
E_tot (eV for the cell shown): -103.99
M_tot (μB/cell): 5.00

a = 4.158 Å, b = 4.158 Å, c = 4.158 Å
α = 60.00°, β = 60.00°, γ = 60.00°
Atoms (fractional coordinates):
1 Pu 0.000 0.000 0.000
2 As 0.500 0.500 0.500

***

Below is crystalline PmGe3 at its relaxed geometry, with properties calculated at the r2SCAN level.

Results
E_form (eV per atom): -0.38
E_tot (eV for the cell shown): -145.38
M_tot (μB/cell): 0.00

a = 6.195 Å, b = 6.195 Å, c = 5.053 Å
α = 90.00°, β = 90.00°, γ = 120.00°
Atoms (fractional coordinates):
1 Pm 0.333 0.667 0.250
2 Pm 0.667 0.333 0.750
3 Ge 0.144 0.289 0.750
4 Ge 0.144 0.856 0.750
5 Ge 0.289 0.144 0.250
6 Ge 0.711 0.856 0.750
7 Ge 0.856 0.144 0.250
8 Ge 0.856 0.711 0.250

***

Below is crystalline Nd4Zn3Au5 at its relaxed geometry, with properties calculated at the r2SCAN level.

Results
E_form (eV per atom): -0.77
E_tot (eV for the cell shown): -406.51
M_tot (μB/cell): 0.00

a = 7.165 Å, b = 4.620 Å, c = 7.979 Å
α = 90.00°, β = 90.34°, γ = 90.00°
Atoms (fractional coordinates):
1 Nd 0.000 0.000 0.000
2 Nd 0.008 0.500 0.564
3 Nd 0.496 0.000 0.069
4 Nd 0.510 0.500 0.493
5 Zn 0.317 0.000 0.705
6 Zn 0.701 0.500 0.862
7 Zn 0.805 0.000 0.362
8 Au 0.216 0.500 0.194
9 Au 0.222 0.000 0.388
10 Au 0.294 0.500 0.851
11 Au 0.724 0.000 0.695
12 Au 0.779 0.500 0.194

***

Below is crystalline PtS2 at its relaxed geometry, with properties calculated at the r2SCAN level.

Results
E_form (eV per atom): -0.44
E_tot (eV for the cell shown): -68.88
M_tot (μB/cell): 0.00

a = 3.549 Å, b = 3.549 Å, c = 5.597 Å
α = 90.00°, β = 90.00°, γ = 120.00°
Atoms (fractional coordinates):
1 Pt 0.000 0.000 0.000
2 S 0.333 0.667 0.220
3 S 0.667 0.333 0.780

***

Below is crystalline ZrAsRu at its relaxed geometry, with properties calculated at the r2SCAN level.

Results
E_form (eV per atom): -0.95
E_tot (eV for the cell shown): -197.19
M_tot (μB/cell): 0.00

a = 6.601 Å, b = 6.601 Å, c = 3.919 Å
α = 90.00°, β = 90.00°, γ = 120.00°
Atoms (fractional coordinates):
1 Zr 0.000 0.582 0.000
2 Zr 0.418 0.418 0.000
3 Zr 0.582 0.000 0.000
4 As 0.000 0.000 0.000
5 As 0.333 0.667 0.500
6 As 0.667 0.333 0.500
7 Ru 0.000 0.244 0.500
8 Ru 0.244 0.000 0.500
9 Ru 0.756 0.756 0.500

***

Below is crystalline Zr3TiCu2 at its relaxed geometry, with properties calculated at the r2SCAN level.

Results
E_form (eV per atom): -0.11
E_tot (eV for the cell shown): -103.56
M_tot (μB/cell): 0.00

a = 3.154 Å, b = 3.154 Å, c = 11.011 Å
α = 90.00°, β = 90.00°, γ = 90.00°
Atoms (fractional coordinates):
1 Zr 0.000 0.000 0.000
2 Zr 0.000 0.000 0.322
3 Zr 0.500 0.500 0.523
4 Ti 0.500 0.500 0.822
5 Cu 0.000 0.000 0.695
6 Cu 0.500 0.500 0.162

***

Below is crystalline Yb3Al at its relaxed geometry, with properties calculated at the r2SCAN level.

Results
E_form (eV per atom): -0.09
E_tot (eV for the cell shown): -116.70
M_tot (μB/cell): 0.00

a = 5.216 Å, b = 5.216 Å, c = 5.216 Å
α = 60.00°, β = 60.00°, γ = 60.00°
Atoms (fractional coordinates):
1 Yb 0.000 0.000 0.000
2 Yb 0.250 0.250 0.250
3 Yb 0.750 0.750 0.750
4 Al 0.500 0.500 0.500

***

Below is crystalline Sb4Cl2O5 at its relaxed geometry, with properties calculated at the r2SCAN level.

Results
E_form (eV per atom): -1.37
E_tot (eV for the cell shown): -320.07
M_tot (μB/cell): 0.00

a = 6.351 Å, b = 5.159 Å, c = 13.441 Å
α = 90.00°, β = 98.60°, γ = 90.00°
Atoms (fractional coordinates):
1 Sb 0.183 0.223 0.055
2 Sb 0.183 0.277 0.555
3 Sb 0.206 0.606 0.300
4 Sb 0.206 0.894 0.800
5 Sb 0.794 0.106 0.200
6 Sb 0.794 0.394 0.700
7 Sb 0.817 0.723 0.445
8 Sb 0.817 0.777 0.945
9 Cl 0.481 0.210 0.384
10 Cl 0.481 0.290 0.884
11 Cl 0.519 0.710 0.116
12 Cl 0.519 0.790 0.616
13 O 0.000 0.000 0.500
14 O 0.000 0.500 0.000
15 O 0.070 0.168 0.709
16 O 0.070 0.332 0.209
17 O 0.071 0.008 0.919
18 O 0.071 0.492 0.419
19 O 0.929 0.508 0.581
20 O 0.929 0.992 0.081
21 O 0.930 0.668 0.791
22 O 0.930 0.832 0.291

***

Below is crystalline TlGeBr3 at its relaxed geometry, with properties calculated at the r2SCAN level.

Results
E_form (eV per atom): -0.76
E_tot (eV for the cell shown): -442.49
M_tot (μB/cell): 0.00

a = 9.503 Å, b = 4.181 Å, c = 15.549 Å
α = 90.00°, β = 90.00°, γ = 90.00°
Atoms (fractional coordinates):
1 Tl 0.079 0.250 0.169
2 Tl 0.421 0.750 0.669
3 Tl 0.579 0.250 0.331
4 Tl 0.921 0.750 0.831
5 Ge 0.162 0.750 0.436
6 Ge 0.338 0.250 0.936
7 Ge 0.662 0.750 0.064
8 Ge 0.838 0.250 0.564
9 Br 0.018 0.750 0.620
10 Br 0.167 0.750 0.004
11 Br 0.203 0.250 0.793
12 Br 0.297 0.750 0.293
13 Br 0.333 0.250 0.504
14 Br 0.482 0.250 0.120
15 Br 0.518 0.750 0.880
16 Br 0.667 0.750 0.496
17 Br 0.703 0.250 0.707
18 Br 0.797 0.750 0.207
19 Br 0.833 0.250 0.996
20 Br 0.982 0.250 0.380

***

Below is crystalline Pu2SnPt2 at its relaxed geometry, with properties calculated at the r2SCAN level.

Results
E_form (eV per atom): -1.03
E_tot (eV for the cell shown): -611.21
M_tot (μB/cell): 20.42

a = 7.741 Å, b = 7.741 Å, c = 3.788 Å
α = 90.00°, β = 90.00°, γ = 90.00°
Atoms (fractional coordinates):
1 Pu 0.176 0.324 0.000
2 Pu 0.324 0.824 0.000
3 Pu 0.676 0.176 0.000
4 Pu 0.824 0.676 0.000
5 Sn 0.000 0.000 0.500
6 Sn 0.500 0.500 0.500
7 Pt 0.128 0.628 0.500
8 Pt 0.372 0.128 0.500
9 Pt 0.628 0.872 0.500
10 Pt 0.872 0.372 0.500

***

Below is crystalline Si2SnO6 at its relaxed geometry, with properties calculated at the r2SCAN level.

Results
E_form (eV per atom): -2.60
E_tot (eV for the cell shown): -203.02
M_tot (μB/cell): 0.00

a = 6.593 Å, b = 6.593 Å, c = 5.356 Å
α = 104.21°, β = 104.21°, γ = 85.28°
Atoms (fractional coordinates):
1 Si 0.115 0.282 0.240
2 Si 0.282 0.115 0.740
3 Si 0.718 0.885 0.260
4 Si 0.885 0.718 0.760
5 Sn 0.392 0.608 0.750
6 Sn 0.608 0.392 0.250
7 O 0.107 0.598 0.803
8 O 0.136 0.151 0.464
9 O 0.151 0.136 0.964
10 O 0.312 0.449 0.354
11 O 0.402 0.893 0.697
12 O 0.449 0.312 0.854
13 O 0.551 0.688 0.146
14 O 0.598 0.107 0.303
15 O 0.688 0.551 0.646
16 O 0.849 0.864 0.036
17 O 0.864 0.849 0.536
18 O 0.893 0.402 0.197